Record 1
## EuCoGe3 (PBE-GGA)

Data for EuCoGe3 after structural relaxation.

a = 5.847 Å, b = 5.847 Å, c = 5.847 Å
α = 136.42°, β = 136.42°, γ = 63.34°
Positions (direct):
1 Eu 0.001 0.001 0.000
2 Co 0.342 0.342 0.000
3 Ge 0.249 0.749 0.500
4 Ge 0.749 0.249 0.500
5 Ge 0.573 0.573 0.000

Output
Space-group type: No. 107


Record 2
## EuCo2SiGe (PBE-GGA)

Data for EuCo2SiGe after structural relaxation.

a = 5.837 Å, b = 5.837 Å, c = 5.837 Å
α = 140.32°, β = 140.32°, γ = 57.37°
Positions (direct):
1 Eu 0.999 0.999 0.000
2 Co 0.754 0.254 0.500
3 Co 0.254 0.754 0.500
4 Si 0.363 0.363 0.000
5 Ge 0.630 0.630 0.000

Output
Space-group type: No. 107


Record 3
## EuCo2P2 (PBE-GGA)

Data for EuCo2P2 after structural relaxation.

a = 6.210 Å, b = 6.210 Å, c = 6.210 Å
α = 144.93°, β = 144.93°, γ = 50.44°
Positions (direct):
1 Eu 0.000 0.000 0.000
2 Co 0.750 0.250 0.500
3 Co 0.250 0.750 0.500
4 P 0.645 0.645 0.000
5 P 0.355 0.355 0.000

Output
Space-group type: No. 139


Record 4
## EuCo8P5 (PBE-GGA)

Data for EuCo8P5 after structural relaxation.

a = 3.537 Å, b = 9.239 Å, c = 10.500 Å
α = 90.00°, β = 90.00°, γ = 90.00°
Positions (direct):
1 Eu 0.500 0.178 0.500
2 Eu 0.000 0.822 0.000
3 Co 0.000 0.520 0.168
4 Co 0.000 0.456 0.500
5 Co 0.500 0.889 0.255
6 Co 0.500 0.480 0.332
7 Co 0.500 0.851 0.500
8 Co 0.500 0.303 0.140
9 Co 0.500 0.544 0.000
10 Co 0.000 0.697 0.640
11 Co 0.000 0.149 0.000
12 Co 0.000 0.697 0.360
13 Co 0.500 0.480 0.668
14 Co 0.500 0.303 0.860
15 Co 0.000 0.111 0.245
16 Co 0.500 0.889 0.745
17 Co 0.000 0.520 0.832
18 Co 0.000 0.111 0.755
19 P 0.000 0.339 0.691
20 P 0.000 0.934 0.380
21 P 0.000 0.385 0.000
22 P 0.500 0.661 0.191
23 P 0.500 0.066 0.120
24 P 0.500 0.661 0.809
25 P 0.000 0.934 0.620
26 P 0.000 0.339 0.309
27 P 0.500 0.615 0.500
28 P 0.500 0.066 0.880

Output
Space-group type: No. 59


Record 5
## EuCo9Si2 (PBE-GGA)

Data for EuCo9Si2 after structural relaxation.

a = 7.579 Å, b = 7.579 Å, c = 7.579 Å
α = 100.01°, β = 100.01°, γ = 130.73°
Positions (direct):
1 Eu 0.500 0.500 0.000
2 Eu 0.750 0.250 0.500
3 Co 0.250 0.750 0.500
4 Co 0.000 0.000 0.000
5 Co 0.686 0.016 0.081
6 Co 0.686 0.605 0.670
7 Co 0.266 0.436 0.581
8 Co 0.266 0.685 0.830
9 Co 0.935 0.016 0.330
10 Co 0.935 0.605 0.919
11 Co 0.855 0.436 0.170
12 Co 0.855 0.685 0.419
13 Co 0.564 0.734 0.419
14 Co 0.564 0.145 0.830
15 Co 0.984 0.314 0.919
16 Co 0.984 0.065 0.670
17 Co 0.315 0.734 0.170
18 Co 0.315 0.145 0.581
19 Co 0.395 0.314 0.330
20 Co 0.395 0.065 0.081
21 Si 0.625 0.875 0.750
22 Si 0.125 0.375 0.250
23 Si 0.125 0.875 0.750
24 Si 0.125 0.875 0.250

Output
Space-group type: No. 141
Corrected total energy (MP2020 scheme): -7.29 eV per atom


Record 6
## EuCo2Si2 (PBE-GGA)

Data for EuCo2Si2 after structural relaxation.

a = 5.759 Å, b = 5.759 Å, c = 5.759 Å
α = 140.24°, β = 140.24°, γ = 57.48°
Positions (direct):
1 Eu 0.000 0.000 0.000
2 Co 0.750 0.250 0.500
3 Co 0.250 0.750 0.500
4 Si 0.365 0.365 0.000
5 Si 0.635 0.635 0.000

Output
Space-group type: No. 139
Corrected total energy (MP2020 scheme): -7.68 eV per atom


Record 7
## FeCo (PBE-GGA)

Data for FeCo after structural relaxation.

a = 2.843 Å, b = 2.843 Å, c = 2.843 Å
α = 90.00°, β = 90.00°, γ = 90.00°
Positions (direct):
1 Fe 0.000 0.000 0.000
2 Co 0.500 0.500 0.500

Output
Space-group type: No. 221


Record 8
## FeCo (PBE-GGA)

Data for FeCo after structural relaxation.

a = 2.466 Å, b = 2.466 Å, c = 4.010 Å
α = 90.00°, β = 90.00°, γ = 109.81°
Positions (direct):
1 Fe 0.500 0.500 0.500
2 Co 0.000 0.000 0.000

Output
Space-group type: No. 65


Record 9
## Fe15Co (PBE-GGA)

Data for Fe15Co after structural relaxation.

a = 5.692 Å, b = 5.692 Å, c = 5.692 Å
α = 90.00°, β = 90.00°, γ = 90.00°
Positions (direct):
1 Fe 0.500 0.500 0.500
2 Fe 0.500 0.000 0.500
3 Fe 0.500 0.500 0.000
4 Fe 0.000 0.500 0.500
5 Fe 0.500 0.000 0.000
6 Fe 0.000 0.000 0.500
7 Fe 0.000 0.500 0.000
8 Fe 0.249 0.249 0.249
9 Fe 0.249 0.751 0.249
10 Fe 0.249 0.249 0.751
11 Fe 0.751 0.249 0.249
12 Fe 0.751 0.751 0.249
13 Fe 0.249 0.751 0.751
14 Fe 0.751 0.249 0.751
15 Fe 0.751 0.751 0.751
16 Co 0.000 0.000 0.000

Output
Space-group type: No. 221


Record 10
## FeCo9 (PBE-GGA)

Data for FeCo9 after structural relaxation.

a = 5.179 Å, b = 5.179 Å, c = 4.859 Å
α = 90.00°, β = 90.00°, γ = 90.00°
Positions (direct):
1 Fe 0.000 0.000 0.000
2 Co 0.000 0.000 0.500
3 Co 0.281 0.281 0.250
4 Co 0.281 0.719 0.750
5 Co 0.719 0.281 0.250
6 Co 0.719 0.281 0.750
7 Co 0.719 0.719 0.250
8 Co 0.281 0.719 0.250
9 Co 0.719 0.719 0.750
10 Co 0.281 0.281 0.750

Output
Space-group type: No. 123


Record 11
## Fe5Co3 (PBE-GGA)

Data for Fe5Co3 after structural relaxation.

a = 4.799 Å, b = 4.799 Å, c = 4.799 Å
α = 109.47°, β = 109.47°, γ = 109.47°
Positions (direct):
1 Fe 0.000 0.000 0.000
2 Fe 0.000 0.000 0.500
3 Fe 0.000 0.500 0.000
4 Fe 0.500 0.000 0.000
5 Fe 0.500 0.500 0.500
6 Co 0.000 0.500 0.500
7 Co 0.500 0.500 0.000
8 Co 0.500 0.000 0.500

Output
Space-group type: No. 229


Record 12
## Fe13Co3 (PBE-GGA)

Data for Fe13Co3 after structural relaxation.

a = 5.713 Å, b = 5.713 Å, c = 5.712 Å
α = 90.00°, β = 90.00°, γ = 90.00°
Positions (direct):
1 Fe 0.000 0.500 0.500
2 Fe 0.250 0.750 0.750
3 Fe 0.750 0.250 0.250
4 Fe 0.750 0.250 0.750
5 Fe 0.250 0.250 0.750
6 Fe 0.000 0.000 0.500
7 Fe 0.250 0.750 0.250
8 Fe 0.750 0.750 0.750
9 Fe 0.750 0.750 0.250
10 Fe 0.500 0.000 0.500
11 Fe 0.000 0.500 0.000
12 Fe 0.250 0.250 0.250
13 Fe 0.500 0.000 0.000
14 Co 0.000 0.000 0.000
15 Co 0.500 0.500 0.500
16 Co 0.500 0.500 0.000

Output
Space-group type: No. 123


| no. | calculated volume (Å³ per atom) | DFT total energy (eV/atom) | calculated formation energy (eV/atom) |
| --- | --- | --- | --- |
| 1 | 18.76 | -6.74 | -0.49 |
| 2 | 16.07 | -7.48 | -0.58 |
| 3 | 15.74 | -7.96 | -0.90 |
| 4 | 12.26 | -7.42 | -0.69 |
| 5 | 12.50 | -7.30 | -0.20 |
| 6 | 15.49 | -7.71 | -0.62 |
| 7 | 11.49 | -7.86 | -0.07 |
| 8 | 11.48 | -7.81 | -0.02 |
| 9 | 11.52 | -8.40 | -0.01 |
| 10 | 13.03 | -6.64 | 0.60 |
| 11 | 10.64 | -7.97 | -0.01 |
| 12 | 11.65 | -8.25 | -0.03 |